Entry 1:
Below is a geometry-optimized Sr6CaMn4O13 structure, with properties calculated at the PBE with a Hubbard U level.

Properties
Uncorrected energy, eV/atom: -6.759
Energy relative to the elements, eV/atom: -2.6961

Cell: 6.902 9.912 10.198 Å, 90.00 94.03 90.00°
Atoms (fractional coordinates):
Sr1 0.001 0.000 0.250
Sr2 0.163 0.860 0.551
Sr3 0.164 0.642 0.054
Sr4 0.336 0.990 0.910
Sr5 0.338 0.513 0.411
Sr6 0.493 0.676 0.787
Sr7 0.507 0.176 0.213
Sr8 0.662 0.013 0.589
Sr9 0.664 0.490 0.090
Sr10 0.836 0.142 0.946
Sr11 0.837 0.360 0.449
Sr12 0.999 0.500 0.750
Ca1 0.494 0.823 0.289
Ca2 0.506 0.323 0.711
Mn1 0.073 0.169 0.674
Mn2 0.074 0.335 0.173
Mn3 0.274 0.323 0.967
Mn4 0.275 0.176 0.471
Mn5 0.725 0.676 0.529
Mn6 0.726 0.823 0.033
Mn7 0.926 0.835 0.827
Mn8 0.927 0.669 0.326
O1 0.001 0.001 0.750
O2 0.007 0.108 0.476
O3 0.007 0.395 0.975
O4 0.163 0.753 0.793
O5 0.172 0.749 0.294
O6 0.175 0.173 0.081
O7 0.179 0.329 0.584
O8 0.341 0.409 0.167
O9 0.342 0.098 0.670
O10 0.352 0.024 0.371
O11 0.352 0.468 0.863
O12 0.492 0.728 0.056
O13 0.492 0.772 0.549
O14 0.508 0.228 0.944
O15 0.508 0.272 0.451
O16 0.648 0.524 0.629
O17 0.648 0.968 0.137
O18 0.658 0.598 0.330
O19 0.659 0.909 0.833
O20 0.821 0.829 0.416
O21 0.825 0.673 0.919
O22 0.828 0.249 0.706
O23 0.837 0.253 0.207
O24 0.993 0.608 0.524
O25 0.993 0.895 0.025
O26 0.999 0.501 0.250



Entry 2:
Below is a geometry-optimized SrCa3Mn4O12 structure, with properties calculated at the PBE with a Hubbard U level.

Properties
Uncorrected energy, eV/atom: -6.866
Energy relative to the elements, eV/atom: -2.4249
ΔE to the lowest computed polymorph, meV/atom: 54

Cell: 7.638 7.638 3.821 Å, 90.00 90.00 90.00°
Atoms (fractional coordinates):
Sr1 0.000 0.000 0.000
Ca1 0.000 0.500 0.000
Ca2 0.500 0.000 0.000
Ca3 0.500 0.500 0.000
Mn1 0.252 0.252 0.500
Mn2 0.252 0.748 0.500
Mn3 0.748 0.252 0.500
Mn4 0.748 0.748 0.500
O1 0.000 0.259 0.500
O2 0.000 0.741 0.500
O3 0.251 0.500 0.500
O4 0.255 0.255 0.000
O5 0.255 0.745 0.000
O6 0.259 0.000 0.500
O7 0.500 0.251 0.500
O8 0.500 0.749 0.500
O9 0.741 0.000 0.500
O10 0.745 0.255 0.000
O11 0.745 0.745 0.000
O12 0.749 0.500 0.500



Which formula does entry 2 have? SrCa3Mn4O12



The highest uncorrected energy belongs to which entry? Sr6CaMn4O13



Which formula does entry 1 have? Sr6CaMn4O13